(1)
This record from the Materials Project describes Bi2Pb6S9 after structural relaxation. The functional is PBE.

Output
Size of the total moment = 0.000 μB per atom
Offset from the most stable computed form = 0.18 eV per formula unit
Mass density = 7.09 g/cm³
ΔE_f = -733 meV per atom

Lattice parameters (Å, degrees): 4.1918 13.8205 31.5410 90.00 90.00 90.00
Space group Cmcm (No. 63)
Symmetry-distinct sites (fractional):
Bi  0.0000  0.1826  0.1736 (multiplicity 8)
Pb  0.0000  0.0000  0.0000 (multiplicity 4)
Pb  0.0000  0.0788  0.7500 (multiplicity 4)
Pb  0.0000  0.2709  0.5580 (multiplicity 8)
Pb  0.0000  0.4551  0.1176 (multiplicity 8)
S  0.0000  0.0911  0.0874 (multiplicity 8)
S  0.0000  0.1823  0.6483 (multiplicity 8)
S  0.0000  0.2799  0.2500 (multiplicity 4)
S  0.0000  0.3621  0.0267 (multiplicity 8)
S  0.0000  0.4434  0.6950 (multiplicity 8)

(2)
This record from the Materials Project describes Bi2PbSe4 after structural relaxation. The functional is PBE.

Output
Mass density = 7.47 g/cm³
ΔE_f = -707 meV per atom

Lattice parameters (Å, degrees): 4.2451 4.2451 40.1854 90.00 90.00 120.00
Space group R-3m (No. 166, hexagonal axes)
Symmetry-distinct sites (fractional):
Bi  0.0000  0.0000  0.0723 (multiplicity 6)
Pb  0.0000  0.0000  0.5000 (multiplicity 3)
Se  0.0000  0.0000  0.2131 (multiplicity 6)
Se  0.0000  0.0000  0.3676 (multiplicity 6)

(3)
This record from the Materials Project describes Bi4Pb7Se13 after structural relaxation. The functional is PBE.

Output
Size of the total moment = 0.000 μB per atom
Mass density = 7.53 g/cm³
ΔE_f = -733 meV per atom

Lattice parameters (Å, degrees): 14.3034 4.3004 23.9384 90.00 97.31 90.00
Space group C2/m (No. 12)
Symmetry-distinct sites (fractional):
Bi  0.0615  0.0000  0.3773 (multiplicity 4)
Bi  0.2485  0.0000  0.0867 (multiplicity 4)
Pb  0.0000  0.5000  0.0000 (multiplicity 2)
Pb  0.0108  0.0000  0.8368 (multiplicity 4)
Pb  0.1465  0.5000  0.5420 (multiplicity 4)
Pb  0.2327  0.0000  0.7181 (multiplicity 4)
Se  0.0000  0.0000  0.5000 (multiplicity 2)
Se  0.0767  0.5000  0.6525 (multiplicity 4)
Se  0.1231  0.0000  0.2697 (multiplicity 4)
Se  0.1264  0.5000  0.1182 (multiplicity 4)
Se  0.1316  0.0000  0.9601 (multiplicity 4)
Se  0.1423  0.5000  0.8068 (multiplicity 4)
Se  0.2078  0.5000  0.4104 (multiplicity 4)

no.,corrected total energy (MP2020 scheme) (eV per atom)
1,-4.69
2,-4.35
3,-4.36